No. 1
# ErAlFe

ErAlFe after structural relaxation (PBE-GGA, Materials Project).

Values from the calculation:
- volume (Å³ per cell) = 213.7
- crystal system = orthorhombic
- energy (eV per atom) = -5.907
- energy of formation from the pure elements (meV/atom) = -313
- SG = Amm2, No. 38

a = 5.3865 Å, b = 5.3865 Å, c = 8.5235 Å
α = 90.00°, β = 90.00°, γ = 59.77°
With the nearest neighbours (Å) after each atom.
Atoms (fractional coordinates):
Fe1 0.8325 0.3246 0.7500  4 Fe 2.51-2.73, 2 Al 2.62-2.77
Fe2 0.0060 0.0060 0.9878  2 Fe 2.51, 4 Al 2.57-2.72
Fe3 0.3245 0.8325 0.7500  4 Fe 2.51-2.73, 2 Al 2.62-2.77
Fe4 0.0060 0.0060 0.5122  2 Fe 2.51, 4 Al 2.57-2.72
Al1 0.1622 0.6749 0.2500  4 Al 2.62-2.75, 2 Fe 2.72
Al2 0.8362 0.8362 0.7500  6 Fe 2.57-2.77
Al3 0.6749 0.1622 0.2500  4 Al 2.62-2.75, 2 Fe 2.71
Al4 0.1633 0.1633 0.2500  4 Al 2.63-2.75, 2 Fe 2.67
Er1 0.3337 0.3336 0.9345  7 Fe 3.09-3.16, 5 Al 3.11-3.12, 4 Er 3.15-3.27
Er2 0.3337 0.3336 0.5655  7 Fe 3.09-3.16, 5 Al 3.11-3.12, 4 Er 3.15-3.27
Er3 0.6636 0.6635 0.4494  5 Fe 3.01-3.24, 7 Al 3.03-3.21, 3 Er 3.24-3.27
Er4 0.6636 0.6635 0.0506  5 Fe 3.01-3.24, 7 Al 3.03-3.21, 3 Er 3.24-3.27

---

No. 2
# La2Ag2O5

La2Ag2O5 after structural relaxation (PBE-GGA, Materials Project).

Values from the calculation:
- volume (Å³ per cell) = 286.8
- crystal system = orthorhombic
- energy (eV per atom) = -6.306
- energy of formation from the pure elements (meV/atom) = -2212
- SG = Ima2, No. 46

a = 9.1636 Å, b = 9.1636 Å, c = 9.1636 Å
α = 143.45°, β = 140.93°, γ = 54.57°
With the nearest neighbours (Å) after each atom.
Atoms (fractional coordinates):
O1 0.8252 0.2082 0.5334  2 La 2.25, 1 Ag 2.37
O2 0.4815 0.3043 0.0415  2 Ag 2.21-2.25, 1 La 2.36
O3 0.7739 0.7779 0.4839  2 Ag 2.16-2.18
O4 0.7628 0.8043 0.8228  2 Ag 2.21-2.25, 1 La 2.36
O5 0.2372 0.0600 0.0415  2 Ag 2.21-2.25, 1 La 2.36
O6 0.2061 0.2100 0.4839  2 Ag 2.16-2.18
O7 0.5185 0.5600 0.8228  2 Ag 2.21-2.25, 1 La 2.36
O8 0.7939 0.2779 0.0039  2 Ag 2.16-2.18
O9 0.2261 0.7100 0.0039  2 Ag 2.16-2.18
O10 0.1748 0.7082 0.3829  2 La 2.25, 1 Ag 2.37
Ag1 0.0000 0.9852 0.9852  6 O 2.16-2.21
Ag2 0.5000 0.4852 0.9852  6 O 2.16-2.21
Ag3 0.2074 0.2688 0.9761  3 O 2.25-2.37
Ag4 0.7926 0.7688 0.0614  3 O 2.25-2.37
La1 0.8687 0.3938 0.4966  3 O 2.25-2.50
La2 0.1313 0.6279 0.5251  3 O 2.25-2.50
La3 0.3972 0.8938 0.5251  3 O 2.25-2.50
La4 0.6028 0.1279 0.4966  3 O 2.25-2.50

---

No. 3
# MgAgPdO2

MgAgPdO2 after structural relaxation (PBE-GGA, Materials Project).

Values from the calculation:
- volume (Å³ per cell) = 87.8
- crystal system = orthorhombic
- energy (eV per atom) = -4.632
- energy of formation from the pure elements (meV/atom) = -1005
- SG = Pmmm, No. 47

a = 2.9021 Å, b = 5.2549 Å, c = 5.7570 Å
α = 90.00°, β = 90.00°, γ = 90.00°
With the nearest neighbours (Å) after each atom.
Atoms (fractional coordinates):
O1 0.5000 0.0000 0.2548  2 Mg 2.02, 2 Pd 2.06
O2 0.5000 0.0000 0.7452  2 Mg 2.02, 2 Pd 2.06
Ag1 0.5000 0.5000 0.5000  2 Ag 2.90, 4 O 2.98, 4 Mg 3.00
Pd1 0.0000 0.0000 0.0000  4 O 2.06
Mg1 0.0000 0.0000 0.5000  4 O 2.02

---

No. 4
# TmNi

TmNi after structural relaxation (PBE-GGA, Materials Project).

Values from the calculation:
- volume (Å³ per cell) = 153.0
- crystal system = orthorhombic
- energy (eV per atom) = -5.629
- energy of formation from the pure elements (meV/atom) = -501
- SG = Pnma, No. 62

a = 4.1029 Å, b = 5.3658 Å, c = 6.9496 Å
α = 90.00°, β = 90.00°, γ = 90.00°
With the nearest neighbours (Å) after each atom.
Atoms (fractional coordinates):
Ni1 0.2500 0.6282 0.0372  2 Ni 2.52
Ni2 0.2500 0.8718 0.5372  2 Ni 2.52
Ni3 0.7500 0.3718 0.9628  2 Ni 2.52
Ni4 0.7500 0.1282 0.4628  2 Ni 2.52
Tm1 0.7500 0.8665 0.8200  7 Ni 2.83-2.89
Tm2 0.2500 0.3665 0.6800  7 Ni 2.83-2.89
Tm3 0.7500 0.6335 0.3200  7 Ni 2.83-2.89
Tm4 0.2500 0.1335 0.1800  7 Ni 2.83-2.89

---

No. 5
# Na3SbS4O9

Na3SbS4O9 after structural relaxation (PBE-GGA, Materials Project).

Values from the calculation:
- volume (Å³ per cell) = 1403.6
- crystal system = cubic
- energy (eV per atom) = -5.332
- energy of formation from the pure elements (meV/atom) = -1626
- SG = P2_13, No. 198

a = 11.1964 Å, b = 11.1964 Å, c = 11.1964 Å
α = 90.00°, β = 90.00°, γ = 90.00°
With the nearest neighbours (Å) after each atom.
Atoms (fractional coordinates):
S1 0.1204 0.4855 0.2571  2 O 1.50-1.51
S2 0.6204 0.0145 0.7429  2 O 1.50-1.51
S3 0.6338 0.1338 0.3662  1 Sb 2.24
S4 0.0145 0.7429 0.6204  2 O 1.50-1.51
S5 0.7571 0.3796 0.5145  2 O 1.50-1.51
S6 0.8662 0.8662 0.8662  1 Sb 2.24
S7 0.9855 0.2429 0.8796  2 O 1.50-1.51
S8 0.2429 0.8796 0.9855  2 O 1.50-1.51
S9 0.3662 0.6338 0.1338  1 Sb 2.24
S10 0.3796 0.5145 0.7571  2 O 1.50-1.51
S11 0.7429 0.6204 0.0145  2 O 1.50-1.51
S12 0.4855 0.2571 0.1204  2 O 1.50-1.51
S13 0.8796 0.9855 0.2429  2 O 1.50-1.51
S14 0.2571 0.1204 0.4855  2 O 1.50-1.51
S15 0.5145 0.7571 0.3796  2 O 1.50-1.51
S16 0.1338 0.3662 0.6338  1 Sb 2.24
Na1 0.4072 0.4072 0.4072  3 O 2.28
Na2 0.0928 0.5928 0.9072  3 O 2.28
Na3 0.1066 0.8934 0.3934  3 O 2.36
Na4 0.3934 0.1066 0.8934  3 O 2.36
Na5 0.9072 0.0928 0.5928  3 O 2.28
Na6 0.7395 0.2605 0.7605  6 O 2.51-2.54
Na7 0.6066 0.6066 0.6066  3 O 2.36
Na8 0.2605 0.7605 0.7395  6 O 2.51-2.54
Na9 0.7605 0.7395 0.2605  6 O 2.51-2.54
Na10 0.5928 0.9072 0.0928  3 O 2.28
Na11 0.2395 0.2395 0.2395  6 O 2.51-2.54
Na12 0.8934 0.3934 0.1066  3 O 2.36
O1 0.1582 0.0977 0.3970  1 S 1.51
O2 0.0977 0.3970 0.1582  1 S 1.51
O3 0.4023 0.6030 0.6582  1 S 1.51
O4 0.5586 0.8354 0.2806  1 S 1.50
O5 0.3418 0.9023 0.8970  1 S 1.51
O6 0.4414 0.3354 0.2194  1 S 1.50
O7 0.9414 0.1646 0.7806  1 S 1.50
O8 0.8970 0.3418 0.9023  1 S 1.51
O9 0.3354 0.2194 0.4414  1 S 1.50
O10 0.0027 0.9497 0.1538  1 S 1.75
O11 0.5977 0.1030 0.8418  1 S 1.51
O12 0.7194 0.0586 0.6646  1 S 1.50
O13 0.6646 0.7194 0.0586  1 S 1.50
O14 0.2194 0.4414 0.3354  1 S 1.50
O15 0.1030 0.8418 0.5977  1 S 1.51
O16 0.5027 0.5503 0.8462  1 S 1.75
O17 0.1646 0.7806 0.9414  1 S 1.50
O18 0.9973 0.4497 0.3462  1 S 1.75
O19 0.5503 0.8462 0.5027  1 S 1.75
O20 0.3462 0.9973 0.4497  1 S 1.75
O21 0.6582 0.4023 0.6030  1 S 1.51
O22 0.8354 0.2806 0.5586  1 S 1.50
O23 0.1538 0.0027 0.9497  1 S 1.75
O24 0.7806 0.9414 0.1646  1 S 1.50
O25 0.9023 0.8970 0.3418  1 S 1.51
O26 0.6538 0.4973 0.0503  1 S 1.75
O27 0.2806 0.5586 0.8354  1 S 1.50
O28 0.4973 0.0503 0.6538  1 S 1.75
O29 0.3970 0.1582 0.0977  1 S 1.51
O30 0.4497 0.3462 0.9973  1 S 1.75
O31 0.0503 0.6538 0.4973  1 S 1.75
O32 0.6030 0.6582 0.4023  1 S 1.51
O33 0.0586 0.6646 0.7194  1 S 1.50
O34 0.8418 0.5977 0.1030  1 S 1.51
O35 0.9497 0.1538 0.0027  1 S 1.75
O36 0.8462 0.5027 0.5503  1 S 1.75
Sb1 0.0183 0.4817 0.5183  3 O 1.97
Sb2 0.4817 0.5183 0.0183  3 O 1.97
Sb3 0.9817 0.9817 0.9817  3 O 1.97
Sb4 0.5183 0.0183 0.4817  3 O 1.97

---

No. 6
# Li2CeSn

Li2CeSn after structural relaxation (PBE-GGA, Materials Project).

Values from the calculation:
- volume (Å³ per cell) = 81.5
- crystal system = cubic
- energy (eV per atom) = -3.817
- energy of formation from the pure elements (meV/atom) = -377
- SG = Fm-3m, No. 225

a = 4.8673 Å, b = 4.8673 Å, c = 4.8673 Å
α = 60.00°, β = 60.00°, γ = 60.00°
With the nearest neighbours (Å) after each atom.
Atoms (fractional coordinates):
Li1 0.7500 0.7500 0.7500  4 Sn 2.98, 4 Ce 2.98
Li2 0.2500 0.2500 0.2500  4 Ce 2.98, 4 Sn 2.98
Ce1 0.5000 0.5000 0.5000  8 Li 2.98
Sn1 0.0000 0.0000 0.0000  8 Li 2.98

---

What is the energy of formation from the pure elements in the fourth record? -501 meV/atom